Record 1
DFT (GGA-PBE) results for a geometry-optimized Ba10Nb3Bi7O30 structure.

Cell: 6.2173 10.6744 13.8818 Å, 75.30 77.07 73.14°
Closest atoms and distances in Å follow each position.
Fractional positions:
Ba1 0.0000 0.2488 0.2530  6 O 2.78-3.11
Ba2 0.0000 0.7512 0.7470  6 O 2.78-3.11
Ba3 0.2000 0.1504 0.9487  5 O 2.78-3.10
Ba4 0.1995 0.6488 0.4507  5 O 2.77-3.09
Ba5 0.3996 0.0517 0.6475  6 O 2.77-3.10
Ba6 0.3996 0.5492 0.1525  9 O 2.79-3.12
Ba7 0.6004 0.4508 0.8475  9 O 2.79-3.12
Ba8 0.6004 0.9483 0.3525  6 O 2.77-3.10
Ba9 0.8005 0.3512 0.5493  5 O 2.77-3.09
Ba10 0.8000 0.8496 0.0513  5 O 2.78-3.10
Nb1 0.0000 0.0000 0.5000  6 O 2.04
Nb2 0.2010 0.4013 0.7003  6 O 2.02-2.06
Nb3 0.7990 0.5987 0.2997  6 O 2.02-2.06
Bi1 0.0000 0.5000 0.0000  6 O 2.28-2.40
Bi2 0.1991 0.8963 0.2037  6 O 2.30-2.38
Bi3 0.3977 0.3008 0.4029  6 O 2.31-2.39
Bi4 0.3998 0.8011 0.8990  6 O 2.16-2.17
Bi5 0.6002 0.1989 0.1010  6 O 2.16-2.17
Bi6 0.6023 0.6992 0.5971  6 O 2.31-2.39
Bi7 0.8009 0.1037 0.7963  6 O 2.30-2.38
O1 0.0372 0.2521 0.7638  1 Nb 2.04
O2 0.0397 0.9525 0.3630  1 Nb 2.04
O3 0.0749 0.9367 0.8718  2 Bi 2.16-2.30
O4 0.1047 0.4704 0.3278  1 Nb 2.05
O5 0.1592 0.4463 0.8371  1 Nb 2.02
O6 0.1627 0.1491 0.4354  1 Nb 2.04
O7 0.2294 0.6424 0.9704  2 Bi 2.17-2.28
O8 0.2416 0.3521 0.5617  1 Nb 2.06
O9 0.2754 0.3351 0.0739  2 Bi 2.17-2.28
O10 0.3052 0.8709 0.5247  1 Nb 2.04
O11 0.3573 0.8478 0.0461  2 Bi 2.16-2.31
O12 0.3626 0.5489 0.6325  1 Nb 2.03
O13 0.4300 0.0412 0.1716  2 Bi 2.16-2.30
O14 0.4447 0.7493 0.7540  2 Bi 2.16-2.31
O15 0.4937 0.7264 0.2776  1 Nb 2.03
O16 0.5063 0.2736 0.7224  1 Nb 2.03
O17 0.5553 0.2507 0.2460  2 Bi 2.16-2.31
O18 0.5700 0.9588 0.8284  2 Bi 2.16-2.30
O19 0.6374 0.4511 0.3675  1 Nb 2.03
O20 0.6427 0.1522 0.9539  2 Bi 2.16-2.31
O21 0.6948 0.1291 0.4753  1 Nb 2.04
O22 0.7246 0.6649 0.9261  2 Bi 2.17-2.28
O23 0.7584 0.6479 0.4383  1 Nb 2.06
O24 0.7706 0.3576 0.0296  2 Bi 2.17-2.28
O25 0.8373 0.8509 0.5646  1 Nb 2.04
O26 0.8408 0.5537 0.1629  1 Nb 2.02
O27 0.8953 0.5296 0.6722  1 Nb 2.05
O28 0.9251 0.0633 0.1282  2 Bi 2.16-2.30
O29 0.9603 0.0475 0.6370  1 Nb 2.04
O30 0.9628 0.7479 0.2362  1 Nb 2.04

## Properties
Formation enthalpy at 0 K (eV/atom): -2.59

Record 2
DFT (GGA-PBE) results for a geometry-optimized H10PbC6S2IN structure.

Cell: 4.9997 11.9455 12.2088 Å, 112.35 95.17 100.39°
Closest atoms and distances in Å follow each position.
Fractional positions:
H1 0.0289 0.4495 0.3788  1 C 1.10
H2 0.0363 0.0880 0.1119  1 C 1.10
H3 0.0743 0.1878 0.9596  1 C 1.10
H4 0.1135 0.7838 0.6949  1 C 1.10
H5 0.1234 0.6332 0.9462  1 C 1.10
H6 0.2264 0.4222 0.0462  1 C 1.10
H7 0.2389 0.2699 0.3015  1 C 1.10
H8 0.2415 0.6188 0.7486  1 C 1.10
H9 0.2446 0.8482 0.9114  1 C 1.10
H10 0.3607 0.2482 0.0790  1 C 1.10
H11 0.6393 0.7518 0.9210  1 C 1.10
H12 0.7554 0.1518 0.0886  1 C 1.10
H13 0.7585 0.3812 0.2514  1 C 1.10
H14 0.7611 0.7301 0.6985  1 C 1.10
H15 0.7736 0.5778 0.9538  1 C 1.10
H16 0.8766 0.3668 0.0538  1 C 1.10
H17 0.8865 0.2162 0.3051  1 C 1.10
H18 0.9257 0.8122 0.0404  1 C 1.10
H19 0.9637 0.9120 0.8881  1 C 1.10
H20 0.9711 0.5505 0.6212  1 C 1.10
Pb1 0.2409 0.1803 0.5995  2 S 2.75, 1 I 3.06
Pb2 0.7591 0.8197 0.4005  2 S 2.75, 1 I 3.06
C1 0.0224 0.8239 0.8745  2 H 1.10
C2 0.0233 0.6115 0.7172  2 H 1.10
C3 0.0263 0.2591 0.2597  2 H 1.10
C4 0.0925 0.3723 0.0874  2 H 1.10
C5 0.1385 0.2415 0.0573  2 H 1.10
C6 0.3240 0.5581 0.2715  1 N 1.34
C7 0.6760 0.4419 0.7285  1 N 1.34
C8 0.8615 0.7585 0.9427  2 H 1.10
C9 0.9075 0.6277 0.9126  2 H 1.10
C10 0.9737 0.7409 0.7403  2 H 1.10
C11 0.9767 0.3885 0.2828  2 H 1.10
C12 0.9776 0.1761 0.1255  2 H 1.10
S1 0.3379 0.6501 0.4225  1 C 1.74
S2 0.4574 0.3883 0.8090  1 C 1.73
S3 0.5426 0.6117 0.1910  1 C 1.73
S4 0.6621 0.3499 0.5775  1 C 1.74
I1 0.4153 0.9688 0.3154  1 Pb 3.06
I2 0.5847 0.0312 0.6846  1 Pb 3.06
N1 0.1454 0.4469 0.2179  3 C 1.34-1.47
N2 0.8546 0.5531 0.7821  3 C 1.34-1.47

## Properties
Formation enthalpy at 0 K (eV/atom): -0.22

Record 3
DFT (GGA-PBE) results for a geometry-optimized MnZn13 structure.

Cell: 6.5290 6.5290 5.4538 Å, 99.74 99.74 71.24°
Closest atoms and distances in Å follow each position.
Fractional positions:
Mn1 0.0000 0.0000 0.0000  12 Zn 2.73-2.86
Zn1 0.0000 0.0000 0.5000  10 Zn 2.62-2.72, 2 Mn 2.73
Zn2 0.0074 0.6404 0.1970  9 Zn 2.59-2.84, 1 Mn 2.73
Zn3 0.2154 0.6181 0.6886  8 Zn 2.63-2.83, 1 Mn 2.86
Zn4 0.2315 0.2315 0.3715  8 Zn 2.58-2.84, 1 Mn 2.84
Zn5 0.3596 0.9926 0.8030  9 Zn 2.59-2.84, 1 Mn 2.73
Zn6 0.3819 0.7846 0.3114  8 Zn 2.63-2.83, 1 Mn 2.86
Zn7 0.3871 0.3871 0.0656  10 Zn 2.58-2.77
Zn8 0.6129 0.6129 0.9344  10 Zn 2.58-2.77
Zn9 0.6181 0.2154 0.6886  8 Zn 2.63-2.83, 1 Mn 2.86
Zn10 0.6404 0.0074 0.1970  9 Zn 2.59-2.84, 1 Mn 2.73
Zn11 0.7685 0.7685 0.6285  8 Zn 2.58-2.84, 1 Mn 2.84
Zn12 0.7846 0.3819 0.3114  8 Zn 2.63-2.83, 1 Mn 2.86
Zn13 0.9926 0.3596 0.8030  9 Zn 2.59-2.84, 1 Mn 2.73

## Properties
Energy relative to the lowest polymorph listed for this composition (meV/atom): 85.3
Formation enthalpy at 0 K (eV/atom): 0.06

Record 4
DFT (GGA-PBE) results for a geometry-optimized Zr2V3Fe structure.

Cell: 5.0589 5.0589 5.0589 Å, 62.19 62.19 62.19°
Closest atoms and distances in Å follow each position.
Fractional positions:
Zr1 0.1259 0.1259 0.1259  9 V 2.94-3.03, 3 Fe 3.06, 4 Zr 3.07-3.18
Zr2 0.8741 0.8741 0.8741  9 V 2.94-3.03, 3 Fe 3.06, 4 Zr 3.07-3.18
V1 0.0000 0.5000 0.5000  2 Fe 2.53, 4 V 2.61
V2 0.5000 0.0000 0.5000  2 Fe 2.53, 4 V 2.61
V3 0.5000 0.5000 0.0000  2 Fe 2.53, 4 V 2.61
Fe1 0.5000 0.5000 0.5000  6 V 2.53

## Properties
Formation enthalpy at 0 K (eV/atom): -0.13